Record 1
Compound: NpCo2Ge2
Source: the Materials Project database
Functional: PBE
Structure: relaxed

Energy ... -7.547 eV per atom

```
5
Lattice="3.767 0.000 -1.392 -0.514 3.732 -1.392 -0.063 -0.073 5.621" Properties=species:S:1:pos:R:3 pbc="T T T"
Np 0.000 0.000 0.000
Co 0.524 2.762 1.419
Co 2.665 0.896 1.419
Ge 2.024 2.322 -0.316
Ge 1.165 1.337 3.153
```

Record 2
Compound: Pr2Co3Ge5
Source: the Materials Project database
Functional: PBE
Structure: relaxed

Magnetization ... 1.36 μB/cell
Energy ... -5.976 eV per atom
Polymorph energy (0 for the lowest one) ... 0.000 eV per atom

```
20
Lattice="7.727 -1.464 2.581 -2.705 -3.629 6.930 -0.132 -1.444 -8.149" Properties=species:S:1:pos:R:3 pbc="T T T"
Pr -1.386 -3.712 4.204
Pr 6.276 -2.826 -2.842
Pr 1.240 -3.978 -0.799
Pr 3.650 -2.560 2.161
Co 4.020 -3.555 5.439
Co 0.870 -2.983 -4.077
Co 1.239 -4.710 2.249
Co 3.651 -1.828 -0.887
Co -2.128 -3.805 -0.914
Co -0.709 -1.268 -0.305
Ge 4.414 -4.068 -0.577
Ge -0.943 -5.007 1.329
Ge 0.475 -2.470 1.939
Ge 5.833 -1.531 0.033
Ge 5.620 -4.050 3.777
Ge -0.730 -2.488 -2.415
Ge 3.211 -5.582 1.292
Ge 1.679 -0.956 0.070
Ge 1.802 -3.815 4.451
Ge 3.088 -2.723 -3.089
```

Record 3
Compound: PrCoGe2
Source: the Materials Project database
Functional: PBE
Structure: relaxed

Energy ... -5.939 eV per atom

```
8
Lattice="2.147 -8.342 0.000 2.147 8.342 0.000 0.000 0.000 4.268" Properties=species:S:1:pos:R:3 pbc="T T T"
Pr 2.147 -6.554 3.201
Pr 2.147 6.554 1.067
Co 2.147 -3.079 3.201
Co 2.147 3.079 1.067
Ge 2.147 -0.774 3.201
Ge 2.147 0.774 1.067
Ge 2.147 4.161 3.201
Ge 2.147 -4.161 1.067
```

Record 4
Compound: PrCoGe3
Source: the Materials Project database
Functional: PBE
Structure: relaxed

Energy ... -5.721 eV per atom

```
5
Lattice="-0.926 -5.743 -0.534 -5.562 -1.720 -0.471 3.424 3.987 -2.551" Properties=species:S:1:pos:R:3 pbc="T T T"
Pr -2.806 -3.227 -0.435
Co -4.972 -5.719 -0.770
Ge -2.200 -0.167 -1.686
Ge -6.472 -7.444 -1.003
Ge 0.118 -2.178 -1.718
```

Record 5
Compound: Pr2Co3Ge5
Source: the Materials Project database
Functional: PBE
Structure: relaxed

Magnetization ... 1.59 μB/cell
Energy ... -5.974 eV per atom
Polymorph energy (0 for the lowest one) ... 0.002 eV per atom

```
20
Lattice="5.988 5.687 0.000 -5.988 5.687 0.000 0.000 2.976 5.091" Properties=species:S:1:pos:R:3 pbc="T T T"
Pr 1.635 10.634 3.895
Pr 1.635 5.205 3.740
Pr -1.635 3.717 1.195
Pr -1.635 9.146 1.350
Co -1.652 6.357 3.127
Co -1.652 9.482 4.509
Co 1.652 7.994 1.963
Co 1.652 4.869 0.582
Co -5.957 7.919 3.818
Co 5.957 6.431 1.273
Ge -1.140 4.331 4.250
Ge -1.140 11.508 3.386
Ge 1.140 10.020 0.841
Ge 1.140 2.843 1.705
Ge -3.320 7.919 3.818
Ge 3.320 6.431 1.273
Ge 0.062 7.919 3.818
Ge -0.062 6.431 1.273
Ge 3.223 7.919 3.818
Ge -3.223 6.431 1.273
```

Record 6
Compound: Pr3CoGe2
Source: the Materials Project database
Functional: PBE
Structure: relaxed

Magnetization ... 0.00 μB/cell
Energy ... -5.752 eV per atom

```
24
Lattice="4.273 0.000 0.000 0.000 11.695 0.000 0.000 0.000 12.011" Properties=species:S:1:pos:R:3 pbc="T T T"
Pr 1.068 0.655 10.562
Pr 1.068 5.192 4.557
Pr 3.205 11.040 1.448
Pr 3.205 6.502 7.454
Pr 1.068 1.525 6.662
Pr 1.068 4.323 0.657
Pr 3.205 10.170 5.348
Pr 3.205 7.372 11.354
Pr 1.068 9.351 8.630
Pr 1.068 8.191 2.625
Pr 3.205 2.343 3.380
Pr 3.205 3.504 9.386
Co 1.068 4.297 7.622
Co 1.068 1.551 1.617
Co 3.205 7.398 4.388
Co 3.205 10.144 10.394
Ge 1.068 9.570 11.697
Ge 1.068 7.971 5.692
Ge 3.205 2.124 0.314
Ge 3.205 3.723 6.319
Ge 1.068 5.780 9.686
Ge 1.068 0.067 3.681
Ge 3.205 5.915 2.325
Ge 3.205 11.627 8.330
```

Record 7
Compound: CoReGe2
Source: the Materials Project database
Functional: PBE
Structure: relaxed

Magnetization ... 0.48 μB/cell
Energy ... -6.680 eV per atom

```
4
Lattice="0.000 3.068 3.068 3.068 0.000 3.068 3.068 3.068 0.000" Properties=species:S:1:pos:R:3 pbc="T T T"
Co 3.068 3.068 3.068
Re 1.534 1.534 1.534
Ge 0.000 0.000 0.000
Ge 4.602 4.602 4.602
```

Record 8
Compound: Sc2CoGe2
Source: the Materials Project database
Functional: PBE
Structure: relaxed

Energy ... -6.562 eV per atom

```
10
Lattice="-2.984 1.714 -4.187 -2.541 -2.296 -4.201 -9.515 -1.053 0.859" Properties=species:S:1:pos:R:3 pbc="T T T"
Sc -8.656 -0.929 -8.068
Sc -6.384 -0.707 0.539
Sc -5.514 -0.586 -6.769
Sc -9.526 -1.049 -0.760
Co -9.993 -1.085 -5.532
Co -5.047 -0.551 -1.997
Ge -7.633 -0.826 -5.066
Ge -7.406 -0.809 -2.463
Ge -4.066 -0.435 -4.235
Ge -10.974 -1.201 -3.295
```

Record 9
Compound: Sc4Co7Ge6
Source: the Materials Project database
Functional: PBE
Structure: relaxed

Magnetization ... 0.00 μB/cell
Energy ... -6.661 eV per atom

```
17
Lattice="-3.927 -3.927 3.927 -3.927 3.927 -3.927 3.927 -3.927 -3.927" Properties=species:S:1:pos:R:3 pbc="T T T"
Sc -1.964 -1.964 1.964
Sc -1.964 1.964 -1.964
Sc 1.964 -1.964 -1.964
Sc -1.964 -1.964 -1.964
Co -3.927 0.000 -1.964
Co -3.927 -1.964 0.000
Co -1.964 0.000 -3.927
Co 0.000 -1.964 -3.927
Co 0.000 -3.927 -1.964
Co -1.964 -3.927 0.000
Co 0.000 0.000 0.000
Ge 0.000 0.000 -2.493
Ge 0.000 -5.362 0.000
Ge -5.362 0.000 0.000
Ge 0.000 0.000 -5.362
Ge 0.000 -2.493 0.000
Ge -2.493 0.000 0.000
```

Record 10
Compound: Co2Ge3Se3
Source: the Materials Project database
Functional: PBE
Structure: relaxed

Energy ... -5.175 eV per atom

```
32
Lattice="0.641 8.241 -1.366 -6.894 -0.243 -4.754 -4.722 1.496 6.756" Properties=species:S:1:pos:R:3 pbc="T T T"
Co -2.752 2.381 0.160
Co -8.222 7.113 0.477
Co -2.450 6.525 -0.513
Co -5.143 3.141 3.540
Co -6.219 2.283 -2.226
Co -4.755 7.211 2.862
Co -8.525 2.969 1.150
Co -5.832 6.353 -2.904
Ge -5.603 9.417 2.757
Ge -10.312 4.004 2.302
Ge -7.906 7.186 -3.677
Ge -5.371 0.077 -2.120
Ge -0.663 5.490 -1.666
Ge -3.069 2.308 4.314
Ge -8.499 4.891 -0.166
Ge -6.364 7.408 -0.895
Ge -6.923 6.546 2.325
Ge -2.476 4.602 0.802
Ge -4.611 2.086 1.532
Ge -4.052 2.947 -1.688
Se -7.902 9.335 1.266
Se -10.156 6.694 1.799
Se -9.431 7.751 -1.471
Se -3.073 0.159 -0.630
Se -0.819 2.800 -1.163
Se -1.544 1.743 2.108
Se -3.831 5.052 2.985
Se -6.754 1.870 0.061
Se -3.758 5.485 -2.214
Se -7.143 4.441 -2.348
Se -4.221 7.624 0.576
Se -7.216 4.008 2.850
```

Record 11
Compound: Co3SiGe2
Source: the Materials Project database
Functional: PBE
Structure: relaxed

Magnetization ... 0.00 μB/cell
Energy ... -6.324 eV per atom

```
24
Lattice="-1.000 4.410 0.685 -1.278 -0.977 4.284 12.836 2.199 4.208" Properties=species:S:1:pos:R:3 pbc="T T T"
Co 1.911 3.158 1.888
Co 6.170 3.859 3.289
Co 10.470 4.595 4.700
Co 0.962 0.522 2.199
Co 5.200 1.288 3.562
Co 9.492 2.020 4.969
Co 2.465 1.599 4.217
Co 6.787 2.323 5.628
Co 11.080 3.055 7.032
Co -1.294 3.083 4.489
Co 2.900 3.803 5.845
Co 7.219 4.541 7.287
Si 0.076 0.939 4.302
Si 4.304 1.655 5.699
Si 8.601 2.392 7.111
Si 1.114 3.537 4.338
Ge 5.395 4.273 5.725
Ge 9.693 5.009 7.137
Ge -0.384 2.679 2.152
Ge 3.846 3.417 3.531
Ge 8.152 4.147 4.939
Ge 3.223 1.160 1.954
Ge 7.511 1.904 3.362
Ge 11.810 2.636 4.766
```

Record 12
Compound: SmCo2Ge2
Source: the Materials Project database
Functional: PBE
Structure: relaxed

Energy ... -6.243 eV per atom

```
5
Lattice="-1.722 -3.487 -0.932 2.127 -1.814 2.860 -3.938 3.593 2.411" Properties=species:S:1:pos:R:3 pbc="T T T"
Sm 0.000 0.000 0.000
Co -0.804 -0.436 3.117
Co -2.728 -1.273 1.221
Ge -0.769 -2.406 1.842
Ge -2.763 0.697 2.497
```